Record 1
Material: Li4Co5SbO12
Method: DFT, PBE with a Hubbard U
State: optimized geometry

a b c (Å): 5.0121 5.0121 9.8844
angles (deg): 92.27 92.27 120.27
With the nearest neighbours (Å) after each atom.
Fractional coordinates of all 22 atoms:
Li (0.0316, 0.6973, 0.7166)  4 O 1.99-2.12
Li (0.3027, 0.9684, 0.2834)  4 O 1.99-2.12
Li (0.6973, 0.0316, 0.7166)  4 O 1.99-2.12
Li (0.9684, 0.3027, 0.2834)  4 O 1.99-2.12
Co (0.0000, 0.0000, 0.5000)  6 O 1.93-1.96
Co (0.1661, 0.8339, 0.0000)  6 O 1.92-1.94
Co (0.3353, 0.6647, 0.5000)  6 O 1.93-1.96
Co (0.6647, 0.3353, 0.5000)  6 O 1.93-1.96
Co (0.8339, 0.1661, 0.0000)  6 O 1.92-1.94
Sb (0.5000, 0.5000, 0.0000)  6 O 2.02
O (0.0091, 0.3490, 0.6022)  3 Co 1.93-1.96, 2 Li 1.99-2.01
O (0.1349, 0.1349, 0.8966)  2 Co 1.92, 1 Sb 2.02
O (0.1700, 0.5159, 0.1043)  2 Co 1.93-1.94, 1 Sb 2.02, 1 Li 2.12
O (0.3108, 0.3108, 0.3965)  3 Co 1.93-1.96, 2 Li 1.99
O (0.3490, 0.0091, 0.6022)  3 Co 1.93-1.96, 2 Li 1.99-2.01
O (0.4841, 0.8300, 0.8957)  2 Co 1.93-1.94, 1 Sb 2.02, 1 Li 2.12
O (0.5159, 0.1700, 0.1043)  2 Co 1.93-1.94, 1 Sb 2.02, 1 Li 2.12
O (0.6510, 0.9909, 0.3978)  3 Co 1.93-1.96, 2 Li 1.99-2.01
O (0.6892, 0.6892, 0.6035)  3 Co 1.93-1.96, 2 Li 1.99
O (0.8300, 0.4841, 0.8957)  2 Co 1.93-1.94, 1 Sb 2.02, 1 Li 2.12
O (0.8651, 0.8651, 0.1034)  2 Co 1.92, 1 Sb 2.02
O (0.9909, 0.6510, 0.3978)  3 Co 1.93-1.96, 2 Li 1.99-2.01

Its space group is C2/m, No. 12. The formation energy is -1677 meV per atom. As for the total energy: -5.78 eV/atom.


Record 2
Material: Li5Co5Sb2O12
Method: DFT, PBE with a Hubbard U
State: optimized geometry

a b c (Å): 5.3110 5.3110 10.0506
angles (deg): 95.78 95.78 120.45
With the nearest neighbours (Å) after each atom.
Fractional coordinates of all 24 atoms:
Li (0.0000, 0.0000, 0.0000)  6 O 2.16-2.23
Li (0.2508, 0.2459, 0.7542)  6 O 2.07-2.32
Li (0.4159, 0.0885, 0.2425)  5 O 2.10-2.22
Li (0.7541, 0.7491, 0.2458)  6 O 2.07-2.32
Li (0.9115, 0.5841, 0.7575)  5 O 2.10-2.22
Co (0.0904, 0.4149, 0.2495)  6 O 2.13-2.22
Co (0.1581, 0.8419, 0.5000)  6 O 2.13-2.15
Co (0.4922, 0.5078, 0.5000)  6 O 2.17-2.23
Co (0.5851, 0.9096, 0.7505)  6 O 2.13-2.22
Co (0.6688, 0.3312, 0.0000)  6 O 2.13-2.17
Sb (0.3370, 0.6630, 0.0000)  6 O 2.02-2.04
Sb (0.8246, 0.1754, 0.5000)  6 O 2.02-2.04
O (0.0645, 0.6994, 0.1195)  1 Sb 2.04, 3 Li 2.10-2.28, 2 Co 2.13-2.14
O (0.0898, 0.1240, 0.3813)  1 Sb 2.04, 1 Li 2.09, 3 Co 2.13-2.17
O (0.1817, 0.5390, 0.6168)  1 Sb 2.02, 3 Co 2.13-2.21, 1 Li 2.19
O (0.3006, 0.9355, 0.8805)  1 Sb 2.04, 3 Li 2.10-2.28, 2 Co 2.13-2.14
O (0.3815, 0.3975, 0.1191)  1 Sb 2.02, 3 Li 2.07-2.22, 2 Co 2.15-2.17
O (0.4610, 0.8183, 0.3832)  1 Sb 2.02, 3 Co 2.13-2.21, 1 Li 2.19
O (0.5549, 0.2086, 0.6214)  1 Sb 2.03, 2 Li 2.13-2.27, 3 Co 2.14-2.23
O (0.6025, 0.6185, 0.8809)  1 Sb 2.02, 3 Li 2.07-2.22, 2 Co 2.15-2.17
O (0.6940, 0.0279, 0.1178)  1 Sb 2.03, 2 Co 2.14-2.22, 3 Li 2.15-2.17
O (0.7914, 0.4451, 0.3786)  1 Sb 2.03, 2 Li 2.13-2.27, 3 Co 2.14-2.23
O (0.8760, 0.9102, 0.6187)  1 Sb 2.04, 1 Li 2.09, 3 Co 2.13-2.17
O (0.9721, 0.3060, 0.8822)  1 Sb 2.03, 2 Co 2.14-2.22, 3 Li 2.15-2.17

Its space group is C2, No. 5. The formation energy is -1735 meV per atom. As for the total energy: -5.75 eV/atom.